MgCu4As4S4: optimized geometry, PBE.

Structure (POSCAR):
```
MgCu4As4S4
1.0
3.6971 0.0016 0.0036
-0.0022 5.5728 0.4726
0.0056 1.1374 12.3667
Mg Cu As S
1 4 4 4
direct
0.2778 0.5105 0.4784
0.2802 0.3405 0.2889
0.7785 0.8742 0.1772
0.7815 0.6635 0.7109
0.2811 0.1385 0.8270
0.7796 0.6523 0.0190
0.2806 0.0082 0.4451
0.7799 0.0363 0.5725
0.2798 0.3631 0.9835
0.7810 0.8908 0.8492
0.7796 0.5681 0.3237
0.2787 0.1207 0.1525
0.2817 0.4521 0.6834
```

Properties
Polymorph energy (0 for the lowest one) = 0 meV per atom
Crystal system = triclinic
Raw total energy = -4.323 eV/atom


KDyH2S2O9: optimized geometry, PBE.

Structure (POSCAR):
```
KDyH2S2O9
1.0
0.0000 8.8400 0.0000
8.7709 0.0000 -4.9437
-8.9036 0.0000 -5.5251
K Dy H S O
4 4 8 8 36
direct
0.2710 0.0093 0.7910
0.7710 0.4907 0.7090
0.7290 0.9907 0.2090
0.2290 0.5093 0.2910
0.1321 0.7739 0.0333
0.6321 0.7261 0.4667
0.8679 0.2261 0.9667
0.3679 0.2739 0.5333
0.5578 0.1601 0.9180
0.0578 0.3399 0.5820
0.4422 0.8399 0.0820
0.9422 0.6601 0.4180
0.5344 0.3318 0.0352
0.0344 0.1682 0.4648
0.4656 0.6682 0.9648
0.9656 0.8318 0.5352
0.2989 0.8853 0.3889
0.7989 0.6147 0.1111
0.7011 0.1147 0.6111
0.2011 0.3853 0.8889
0.1410 0.1248 0.1759
0.6410 0.3752 0.3241
0.8590 0.8752 0.8241
0.3590 0.6248 0.6759
0.1969 0.8118 0.2604
0.6969 0.6882 0.2396
0.8031 0.1882 0.7396
0.3031 0.3118 0.7604
0.4161 0.7716 0.3731
0.9161 0.7284 0.1269
0.5839 0.2284 0.6269
0.0839 0.2716 0.8731
0.1230 0.5177 0.8869
0.6230 0.9823 0.6131
0.8770 0.4823 0.1131
0.3770 0.0177 0.3869
0.2126 0.9352 0.5234
0.7126 0.5648 0.9766
0.7874 0.0648 0.4766
0.2874 0.4352 0.0234
0.2324 0.2344 0.2996
0.7324 0.2656 0.2004
0.7676 0.7656 0.7004
0.2676 0.7344 0.7996
0.0614 0.2085 0.1107
0.5614 0.2915 0.3893
0.9386 0.7915 0.8893
0.4386 0.7085 0.6107
0.2405 0.0039 0.0618
0.7405 0.4961 0.4382
0.7595 0.9961 0.9382
0.2595 0.5039 0.5618
0.0308 0.0406 0.2182
0.5308 0.4594 0.2818
0.9692 0.9594 0.7818
0.4692 0.5406 0.7182
0.5987 0.2616 0.9546
0.0987 0.2384 0.5454
0.4013 0.7384 0.0454
0.9013 0.7616 0.4546
```

Properties
Polymorph energy (0 for the lowest one) = 33 meV per atom
Crystal system = monoclinic
Raw total energy = -6.203 eV/atom


TbTlTe2: optimized geometry, PBE.

Structure (POSCAR):
```
TbTlTe2
1.0
0.5969 2.2313 -3.8183
0.5969 -2.2313 -3.8183
-7.7437 0.0000 -3.8183
Tb Tl Te
1 1 2
direct
0.0000 0.0000 0.0000
0.5000 0.5000 0.5000
0.7378 0.7378 0.7865
0.2622 0.2622 0.2135
```

Properties
Crystal system = trigonal
Raw total energy = -4.380 eV/atom


Na3YBr6: optimized geometry, PBE.

Structure (POSCAR):
```
Na3YBr6
1.0
-0.1935 4.1925 -6.5360
-7.3026 -0.0151 0.2065
-7.0421 9.1869 6.1014
Na Y Br
6 2 12
direct
0.5000 0.5000 0.0000
0.5851 0.7071 0.2648
0.0851 0.2929 0.2352
0.0000 0.5000 0.5000
0.9149 0.7071 0.7648
0.4149 0.2929 0.7352
0.5000 0.0000 0.5000
0.0000 0.0000 0.0000
0.6789 0.6186 0.5653
0.1789 0.3814 0.9347
0.3061 0.7514 0.0802
0.8061 0.2486 0.4198
0.6939 0.2486 0.9198
0.1939 0.7514 0.5802
0.0629 0.0967 0.7620
0.5629 0.9033 0.7380
0.9371 0.9033 0.2380
0.4371 0.0967 0.2620
0.8211 0.6186 0.0653
0.3211 0.3814 0.4347
```

Properties
Crystal system = monoclinic
Raw total energy = -3.724 eV/atom


SrNi2P2: optimized geometry, PBE.

Structure (POSCAR):
```
SrNi2P2
1.0
-7.8208 -2.3730 -0.1955
-2.0007 4.6542 6.4163
1.9226 -0.9874 -7.8843
Sr Ni P
3 6 6
direct
0.3165 0.3165 0.0000
0.6835 0.6835 0.0000
0.0000 0.0000 0.0000
0.5826 0.8434 0.7392
0.2707 0.5000 0.7707
0.7293 0.5000 0.2293
0.1041 0.8434 0.2608
0.4174 0.1567 0.2608
0.8959 0.1567 0.7392
0.3236 0.6644 0.6592
0.6764 0.3356 0.3408
0.9948 0.3356 0.6592
0.3811 0.0000 0.3811
0.0052 0.6644 0.3408
0.6189 0.0000 0.6189
```

Properties
Crystal system = orthorhombic
Raw total energy = -5.599 eV/atom


KCaPO5: optimized geometry, PBE.

Structure (POSCAR):
```
KCaPO5
1.0
4.2096 3.8511 0.0000
-4.2096 3.8511 0.0000
0.0000 1.9445 7.7419
K Ca P O
2 2 2 10
direct
0.7779 0.2221 0.5000
0.2221 0.7779 0.5000
0.2532 0.7468 0.0000
0.7468 0.2532 0.0000
0.2335 0.2335 0.7584
0.7665 0.7665 0.2416
0.1462 0.4568 0.8258
0.4568 0.1462 0.8258
0.8538 0.5432 0.1742
0.5432 0.8538 0.1742
0.2673 0.2673 0.5595
0.7327 0.7327 0.4405
0.0215 0.0215 0.8277
0.9785 0.9785 0.1723
0.6004 0.6004 0.8717
0.3996 0.3996 0.1283
```

Properties
Crystal system = monoclinic
Raw total energy = -6.190 eV/atom


SrLi2Al4P4O20: optimized geometry, PBE.

Structure (POSCAR):
```
SrLi2Al4P4O20
1.0
-3.7370 5.8401 7.9637
3.7370 -5.8401 7.9637
3.7370 5.8401 -7.9637
Sr Li Al P O
2 4 8 8 40
direct
0.2500 0.0000 0.2500
0.7500 0.0000 0.7500
0.2884 0.5669 0.2785
0.7116 0.4331 0.7215
0.7884 0.0099 0.2215
0.2116 0.9901 0.7785
0.0064 0.5175 0.7723
0.2548 0.4825 0.4889
0.2452 0.2340 0.7277
0.4936 0.7660 0.0111
0.9936 0.4825 0.2277
0.7452 0.5175 0.5111
0.7548 0.7660 0.2723
0.5064 0.2340 0.9889
0.0416 0.7916 0.2500
0.4584 0.2084 0.2500
0.9584 0.2084 0.7500
0.5416 0.7916 0.7500
0.9574 0.2317 0.2743
0.0426 0.7683 0.7257
0.4574 0.6831 0.2257
0.5426 0.3169 0.7743
0.9108 0.3044 0.6832
0.3788 0.6956 0.6064
0.1212 0.2276 0.8168
0.5892 0.7724 0.8936
0.0892 0.6956 0.3168
0.6212 0.3044 0.3936
0.8788 0.7724 0.1832
0.4108 0.2276 0.1064
0.0764 0.6919 0.0666
0.3747 0.3081 0.3845
0.1253 0.0098 0.4334
0.4236 0.9902 0.1155
0.9236 0.3081 0.9334
0.6253 0.6919 0.6155
0.8747 0.9902 0.5666
0.5764 0.0098 0.8845
0.8988 0.0126 0.1138
0.1012 0.9874 0.8862
0.3988 0.7850 0.3862
0.6012 0.2150 0.6138
0.9021 0.3524 0.4503
0.0979 0.6476 0.5497
0.4021 0.4518 0.0497
0.5979 0.5482 0.9503
0.0939 0.7134 0.8366
0.1232 0.2866 0.3806
0.3768 0.2574 0.6634
0.4061 0.7426 0.1194
0.9061 0.2866 0.1634
0.8768 0.7134 0.6194
0.6232 0.7426 0.3366
0.5939 0.2574 0.8806
0.8329 0.5806 0.7477
0.1671 0.4194 0.2523
0.3329 0.0852 0.7523
0.6671 0.9148 0.2477
0.1548 0.4048 0.7500
0.3452 0.5952 0.7500
0.8452 0.5952 0.2500
0.6548 0.4048 0.2500
```

Properties
Crystal system = orthorhombic
Raw total energy = -6.877 eV/atom


MoWS4: optimized geometry, PBE.

Structure (POSCAR):
```
MoWS4
1.0
1.5955 -2.7635 0.0000
1.5955 2.7635 0.0000
0.0000 0.0000 35.8434
Mo W S
2 2 8
direct
0.3333 0.6667 0.7182
0.6667 0.3333 0.2818
0.3333 0.6667 0.0939
0.6667 0.3333 0.9061
0.3333 0.6667 0.9499
0.3333 0.6667 0.3255
0.6667 0.3333 0.6745
0.6667 0.3333 0.0501
0.6667 0.3333 0.7618
0.6667 0.3333 0.1378
0.3333 0.6667 0.8622
0.3333 0.6667 0.2382
```

Properties
Crystal system = trigonal
Raw total energy = -7.565 eV/atom


NiI6N6: optimized geometry, PBE.

Structure (POSCAR):
```
NiI6N6
1.0
4.0191 3.8186 0.4396
8.4278 -3.8803 -6.5776
-1.0192 6.3828 -9.3579
Ni I N
2 12 12
direct
0.5000 0.0000 0.5000
0.0000 0.5000 0.0000
0.2500 0.5990 0.4010
0.7500 0.4010 0.5990
0.1030 0.1374 0.6784
0.8970 0.8626 0.3216
0.3970 0.3216 0.8626
0.6030 0.6784 0.1374
0.9941 0.8723 0.6061
0.0059 0.1277 0.3939
0.5059 0.3939 0.1277
0.4941 0.6061 0.8723
0.0000 0.0000 0.0000
0.5000 0.0000 0.0000
0.2782 0.1651 0.4975
0.7218 0.8349 0.5025
0.2218 0.5025 0.8349
0.7782 0.4975 0.1651
0.2623 0.9689 0.4137
0.7377 0.0311 0.5863
0.2377 0.5863 0.0311
0.7623 0.4137 0.9689
0.2678 0.9550 0.6610
0.7322 0.0450 0.3390
0.2322 0.3390 0.0450
0.7678 0.6610 0.9550
```

Properties
Crystal system = monoclinic
Raw total energy = -3.700 eV/atom


HoNp3: optimized geometry, PBE.

Structure (POSCAR):
```
HoNp3
1.0
1.7021 -0.3603 5.3298
-4.2740 1.1610 3.4378
0.4762 -3.5219 -4.3363
Ho Np
1 3
direct
0.0000 0.0000 0.0000
0.7500 0.2500 0.5000
0.2500 0.7500 0.5000
0.5000 0.5000 0.0000
```

Properties
Polymorph energy (0 for the lowest one) = 0 meV per atom
Crystal system = tetragonal
Raw total energy = -10.198 eV/atom


CeSe2: optimized geometry, PBE.

Structure (POSCAR):
```
CeSe2
1.0
0.0000 0.0000 -12.6282
-20.1307 0.1278 -6.3141
-5.7976 19.2782 -6.3141
Ce Se
18 36
direct
0.5314 0.4736 0.8782
0.1167 0.8782 0.4736
0.4686 0.1218 0.5264
0.8833 0.5264 0.1218
0.4686 0.5264 0.1218
0.8833 0.1218 0.5264
0.5314 0.8782 0.4736
0.1167 0.4736 0.8782
0.5632 0.7296 0.7296
0.9777 0.7296 0.7296
0.4368 0.2704 0.2704
0.0223 0.2704 0.2704
0.0828 0.7146 0.1198
0.0828 0.1198 0.7146
0.9172 0.8802 0.2854
0.9172 0.2854 0.8802
0.1521 0.8479 0.8479
0.8479 0.1521 0.1521
0.7480 0.7520 0.7520
0.2520 0.2480 0.2480
0.0000 0.7790 0.2210
0.0000 0.2210 0.7790
0.1033 0.8043 0.9891
0.1033 0.9891 0.8043
0.8967 0.0109 0.1957
0.8967 0.1957 0.0109
0.5000 0.5000 0.0000
0.0000 0.0000 0.5000
0.5000 0.0000 0.5000
0.0000 0.5000 0.0000
0.3754 0.7994 0.7994
0.0258 0.7994 0.7994
0.6246 0.2006 0.2006
0.9742 0.2006 0.2006
0.6567 0.5589 0.1277
0.6567 0.1277 0.5589
0.3433 0.8723 0.4411
0.3433 0.4411 0.8723
0.2880 0.6323 0.1397
0.9400 0.1397 0.6323
0.7120 0.8603 0.3677
0.0600 0.3677 0.8603
0.7120 0.3677 0.8603
0.0600 0.8603 0.3677
0.2880 0.1397 0.6323
0.9400 0.6323 0.1397
0.5578 0.5927 0.7748
0.0746 0.7748 0.5927
0.4422 0.2252 0.4073
0.9254 0.4073 0.2252
0.4422 0.4073 0.2252
0.9254 0.2252 0.4073
0.5578 0.7748 0.5927
0.0746 0.5927 0.7748
```

Properties
Crystal system = orthorhombic
Raw total energy = -5.387 eV/atom


Ga4BiAs3: optimized geometry, PBE.

Structure (POSCAR):
```
Ga4BiAs3
1.0
1.1096 3.4518 2.1022
4.0155 2.1536 -5.6557
-4.0921 4.0254 -4.4496
Ga Bi As
4 1 3
direct
0.5000 0.3609 0.3609
0.0000 0.3671 0.8944
0.0000 0.8944 0.3671
0.5000 0.8761 0.8761
0.0000 0.5013 0.5013
0.0000 0.0005 0.0005
0.5000 0.0001 0.4996
0.5000 0.4996 0.0001
```

Properties
Crystal system = orthorhombic
Raw total energy = -3.950 eV/atom


SnH4: optimized geometry, PBE.

Structure (POSCAR):
```
SnH4
1.0
1.8134 0.8102 4.3793
4.8296 -1.8257 0.9779
4.2206 7.2924 -0.4567
Sn H
2 8
direct
0.9288 0.2500 0.7500
0.0712 0.7500 0.2500
0.9675 0.5345 0.8011
0.3031 0.9655 0.6989
0.0325 0.4655 0.1989
0.6969 0.0345 0.3011
0.7572 0.3482 0.5844
0.6898 0.1518 0.9156
0.2428 0.6518 0.4156
0.3102 0.8482 0.0844
```

Properties
Polymorph energy (0 for the lowest one) = 69 meV per atom
Crystal system = monoclinic
Raw total energy = -3.254 eV/atom